Er2SiRh3 r2SCAN optimized geometry; total energy = -25.902 eV per atom
1.0
2.763 1.595 3.825
-2.763 1.595 3.825
0.000 -3.190 3.825
Er Si Rh
2 1 3
direct
0.130 0.130 0.130
0.870 0.870 0.870
0.500 0.500 0.500
0.000 0.500 0.500
0.500 0.000 0.500
0.500 0.500 0.000

Tb2Ge2O7 r2SCAN optimized geometry; total energy = -14.870 eV per atom
1.0
6.834 0.000 0.000
0.000 6.834 0.000
0.000 0.000 12.451
Tb Ge O
8 8 28
direct
0.124 0.352 0.115
0.148 0.624 0.365
0.352 0.124 0.885
0.376 0.852 0.135
0.624 0.148 0.635
0.648 0.876 0.385
0.852 0.376 0.865
0.876 0.648 0.615
0.099 0.153 0.630
0.153 0.099 0.370
0.347 0.599 0.880
0.401 0.653 0.620
0.599 0.347 0.120
0.653 0.401 0.380
0.847 0.901 0.870
0.901 0.847 0.130
0.031 0.077 0.874
0.063 0.662 0.178
0.077 0.031 0.126
0.143 0.315 0.295
0.162 0.437 0.928
0.185 0.643 0.545
0.196 0.196 0.500
0.304 0.696 0.750
0.315 0.143 0.705
0.338 0.937 0.322
0.357 0.815 0.955
0.423 0.531 0.124
0.437 0.162 0.072
0.469 0.577 0.376
0.531 0.423 0.876
0.563 0.838 0.572
0.577 0.469 0.624
0.643 0.185 0.455
0.662 0.063 0.822
0.685 0.857 0.205
0.696 0.304 0.250
0.804 0.804 0.000
0.815 0.357 0.045
0.838 0.563 0.428
0.857 0.685 0.795
0.923 0.969 0.626
0.937 0.338 0.678
0.969 0.923 0.374

PrHg3 r2SCAN optimized geometry; total energy = -44.840 eV per atom
1.0
6.819 0.000 0.000
-3.410 5.906 0.000
0.000 0.000 5.019
Pr Hg
2 6
direct
0.333 0.667 0.250
0.667 0.333 0.750
0.161 0.322 0.750
0.161 0.839 0.750
0.322 0.161 0.250
0.678 0.839 0.750
0.839 0.161 0.250
0.839 0.678 0.250

NdCuSi r2SCAN optimized geometry; total energy = -17.024 eV per atom
1.0
4.177 0.000 0.000
-2.089 3.618 0.000
0.000 0.000 8.040
Nd Cu Si
2 2 2
direct
0.000 0.000 0.000
0.000 0.000 0.500
0.333 0.667 0.250
0.667 0.333 0.750
0.333 0.667 0.750
0.667 0.333 0.250

Hf5CuSb3 r2SCAN optimized geometry; total energy = -35.398 eV per atom
1.0
8.521 0.000 0.000
-4.261 7.380 0.000
0.000 0.000 5.717
Hf Cu Sb
10 2 6
direct
0.000 0.262 0.250
0.000 0.738 0.750
0.262 0.000 0.250
0.262 0.262 0.750
0.333 0.667 0.000
0.333 0.667 0.500
0.667 0.333 0.000
0.667 0.333 0.500
0.738 0.000 0.750
0.738 0.738 0.250
0.000 0.000 0.000
0.000 0.000 0.500
0.000 0.387 0.750
0.000 0.613 0.250
0.387 0.000 0.750
0.387 0.387 0.250
0.613 0.000 0.250
0.613 0.613 0.750

PmTmRu2 r2SCAN optimized geometry; total energy = -29.175 eV per atom
1.0
0.000 3.402 3.402
3.402 0.000 3.402
3.402 3.402 0.000
Pm Tm Ru
1 1 2
direct
0.000 0.000 0.000
0.500 0.500 0.500
0.250 0.250 0.250
0.750 0.750 0.750

Ho2Co2I r2SCAN optimized geometry; total energy = -23.970 eV per atom
1.0
3.969 0.000 0.000
-1.984 3.437 0.000
0.000 0.000 16.828
Ho Co I
4 4 2
direct
0.000 0.000 0.104
0.000 0.000 0.396
0.000 0.000 0.604
0.000 0.000 0.896
0.333 0.667 0.004
0.333 0.667 0.496
0.667 0.333 0.504
0.667 0.333 0.996
0.333 0.667 0.750
0.667 0.333 0.250

KSr2I5 r2SCAN optimized geometry; total energy = -21.770 eV per atom
1.0
9.986 0.000 0.000
0.000 9.078 0.000
-0.004 0.000 14.511
K Sr I
4 8 20
direct
0.004 0.035 0.326
0.004 0.465 0.826
0.996 0.535 0.174
0.996 0.965 0.674
0.249 0.574 0.495
0.249 0.926 0.995
0.497 0.521 0.180
0.497 0.979 0.680
0.503 0.021 0.320
0.503 0.479 0.820
0.751 0.074 0.005
0.751 0.426 0.505
0.040 0.169 0.092
0.040 0.331 0.592
0.267 0.695 0.716
0.267 0.805 0.216
0.276 0.169 0.819
0.276 0.331 0.319
0.279 0.542 0.997
0.279 0.958 0.497
0.458 0.159 0.100
0.458 0.341 0.600
0.542 0.659 0.400
0.542 0.841 0.900
0.721 0.042 0.503
0.721 0.458 0.003
0.724 0.669 0.681
0.724 0.831 0.181
0.733 0.195 0.784
0.733 0.305 0.284
0.960 0.669 0.408
0.960 0.831 0.908

Here are the calculated formation enthalpy at 0 K numbers, same order: -1063; -2870; -463; -677; -540; -298; -612; -1883 (meV/atom).